# 1
V3H6O10, optimized geometry, DFT GGA+U; calculated volume = 483 Å³/cell; symmetry = Pc, No. 7; energy above the most stable polymorph in this dataset = 106 kJ/mol of formula units; energy of formation = -1739 meV per atom
1.0
8.9778 0.0000 0.0000
0.0000 6.0104 0.0000
0.0000 0.1558 8.9555
V H O
6 12 20
Direct
0.1076 0.7288 0.6348
0.2478 0.7425 0.9921
0.3837 0.7250 0.3561
0.8924 0.7288 0.1348
0.7522 0.7425 0.4921
0.6163 0.7250 0.8561
0.2924 0.3447 0.0435
0.9538 0.2206 0.9296
0.6391 0.3385 0.9363
0.0462 0.2206 0.4296
0.3182 0.1938 0.6908
0.0448 0.2863 0.2633
0.4770 0.1210 0.6446
0.9552 0.2863 0.7633
0.6818 0.1938 0.1908
0.7076 0.3447 0.5435
0.5230 0.1210 0.1446
0.3609 0.3385 0.4363
0.8950 0.2070 0.8392
0.9079 0.4582 0.1522
0.2497 0.7900 0.4905
0.7503 0.7900 0.9905
0.3419 0.8293 0.1785
0.1737 0.8392 0.8038
0.3885 0.4341 0.3471
0.6115 0.4341 0.8471
0.3977 0.2256 0.6191
0.1050 0.2070 0.3392
0.9352 0.8373 0.5765
0.8263 0.8392 0.3038
0.2317 0.4483 0.9840
0.7683 0.4483 0.4840
0.6023 0.2256 0.1191
0.0648 0.8373 0.0765
0.4441 0.8237 0.9108
0.6581 0.8293 0.6785
0.5559 0.8237 0.4108
0.0921 0.4582 0.6522

---

# 2
V3H5O8, optimized geometry, DFT GGA+U; calculated volume = 140 Å³/cell; symmetry = Cm, No. 8; energy above the most stable polymorph in this dataset = 0 kJ/mol of formula units; energy of formation = -1922 meV per atom
1.0
1.5529 9.6961 0.0000
-1.5529 9.6961 0.0000
0.0000 1.1904 4.6615
O H V
8 5 3
Direct
0.7170 0.7170 0.3572
0.2827 0.2827 0.6404
0.3391 0.3391 0.0801
0.6627 0.6627 0.9124
0.0929 0.0929 0.5774
0.9061 0.9061 0.4194
0.4679 0.4679 0.7943
0.5303 0.5303 0.2008
0.3116 0.3116 0.9257
0.6886 0.6886 0.0722
0.4953 0.4953 0.9573
0.5832 0.5832 0.0974
0.4132 0.4132 0.9058
0.1795 0.1795 0.6228
0.8193 0.8193 0.3777
0.0013 0.0013 0.4815

---

no.,density (Mg/m³)
1,2.191
2,3.381